No. 1
VASP calculation (GGA-PBE) on an optimized crystal structure of Rb14Si10O17.

Summary:
final energy: -5.61 eV per atom
calculated formation energy: -8654 kJ/mol of formula units

a b c (Å): 14.7304 8.0002 33.1562
angles (deg): 90.00 103.56 90.00
Space group P2_1/c (No. 14)
Inequivalent atoms, fractional coordinates:
Rb1 0.0151 0.0426 0.0661 [4 per cell]
Rb2 0.0535 0.5536 0.2575 [4 per cell]
Rb3 0.0645 0.5987 0.8554 [4 per cell]
Rb4 0.0937 0.1293 0.4671 [4 per cell]
Rb5 0.1624 0.5550 0.1099 [4 per cell]
Rb6 0.1935 0.0306 0.8715 [4 per cell]
Rb7 0.2106 0.1367 0.2847 [4 per cell]
Rb8 0.2914 0.0977 0.7123 [4 per cell]
Rb9 0.2962 0.0521 0.1156 [4 per cell]
Rb10 0.3414 0.5162 0.8918 [4 per cell]
Rb11 0.3843 0.1323 0.5278 [4 per cell]
Rb12 0.4388 0.6386 0.1393 [4 per cell]
Rb13 0.4419 0.5098 0.4336 [4 per cell]
Rb14 0.4474 0.5110 0.7419 [4 per cell]
Si1 0.0138 0.7069 0.6594 [4 per cell]
Si2 0.1134 0.1411 0.1737 [4 per cell]
Si3 0.1744 0.7292 0.5202 [4 per cell]
Si4 0.2242 0.6836 0.6987 [4 per cell]
Si5 0.2299 0.7441 0.9575 [4 per cell]
Si6 0.2404 0.0143 0.9925 [4 per cell]
Si7 0.2838 0.7275 0.2982 [4 per cell]
Si8 0.3431 0.7109 0.5237 [4 per cell]
Si9 0.3888 0.1046 0.8242 [4 per cell]
Si10 0.4916 0.7378 0.3460 [4 per cell]
O1 0.0076 0.2270 0.3880 [4 per cell]
O2 0.0234 0.0041 0.1602 [4 per cell]
O3 0.0625 0.2378 0.3152 [4 per cell]
O4 0.0951 0.2357 0.7095 [4 per cell]
O5 0.1205 0.7235 0.1858 [4 per cell]
O6 0.1319 0.2265 0.1321 [4 per cell]
O7 0.2001 0.7092 0.8173 [4 per cell]
O8 0.2077 0.0213 0.1959 [4 per cell]
O9 0.2676 0.7232 0.7485 [4 per cell]
O10 0.2934 0.7473 0.6714 [4 per cell]
O11 0.2968 0.5207 0.3011 [4 per cell]
O12 0.3606 0.1966 0.8630 [4 per cell]
O13 0.3857 0.6856 0.8202 [4 per cell]
O14 0.4140 0.2230 0.7890 [4 per cell]
O15 0.4305 0.2030 0.6778 [4 per cell]
O16 0.4781 0.5280 0.3423 [4 per cell]
O17 0.4915 0.2066 0.6058 [4 per cell]

***

No. 2
VASP calculation (GGA-PBE) on an optimized crystal structure of Rb2SiO3.

Summary:
final energy: -6.00 eV per atom
calculated formation energy: -1525 kJ/mol of formula units

a b c (Å): 6.5996 13.7275 16.5773
angles (deg): 90.00 107.97 90.00
Space group P2_1/c (No. 14)
Inequivalent atoms, fractional coordinates:
Rb1 0.0072 0.0995 0.0837 [4 per cell]
Rb2 0.0987 0.6298 0.8638 [4 per cell]
Rb3 0.1323 0.1838 0.3010 [4 per cell]
Rb4 0.2803 0.0836 0.5284 [4 per cell]
Rb5 0.3573 0.0158 0.7842 [4 per cell]
Rb6 0.4542 0.1675 0.9884 [4 per cell]
Si1 0.1585 0.6395 0.6382 [4 per cell]
Si2 0.2687 0.6452 0.1086 [4 per cell]
Si3 0.4490 0.7374 0.2868 [4 per cell]
O1 0.0694 0.1068 0.8529 [4 per cell]
O2 0.1072 0.5579 0.1147 [4 per cell]
O3 0.1259 0.7500 0.0895 [4 per cell]
O4 0.2657 0.5656 0.5868 [4 per cell]
O5 0.2976 0.6903 0.3377 [4 per cell]
O6 0.3066 0.2390 0.6583 [4 per cell]
O7 0.3306 0.6597 0.7368 [4 per cell]
O8 0.3959 0.6301 0.0401 [4 per cell]
O9 0.4508 0.6632 0.2051 [4 per cell]

***

No. 3
VASP calculation (GGA-PBE) on an optimized crystal structure of Rb2Si3SnO9.

Summary:
final energy: -6.91 eV per atom
calculated formation energy: -4147 kJ/mol of formula units

a b c (Å): 7.0982 7.0982 10.1976
angles (deg): 90.00 90.00 120.00
Space group P6_3/m (No. 176)
Inequivalent atoms, fractional coordinates:
Rb1 0.3333 0.6667 0.0608 [4 per cell]
Si1 0.1395 0.3842 0.7500 [6 per cell]
Sn1 0.0000 0.0000 0.0000 [2 per cell]
O1 0.0356 0.2573 0.6140 [12 per cell]
O2 0.0887 0.5910 0.7500 [6 per cell]

***

No. 4
VASP calculation (GGA-PBE) on an optimized crystal structure of Rb2ThSi6O15.

Summary:
final energy: -7.71 eV per atom
calculated formation energy: -7639 kJ/mol of formula units

a b c (Å): 7.4253 12.4314 17.7835
angles (deg): 99.00 90.98 106.36
Space group P-1 (No. 2)
Inequivalent atoms, fractional coordinates:
Rb1 0.1049 0.2385 0.2583 [2 per cell]
Rb2 0.1180 0.2072 0.7482 [2 per cell]
Rb3 0.1395 0.3234 0.9678 [2 per cell]
Rb4 0.2044 0.3772 0.4867 [2 per cell]
Th1 0.3751 0.7421 0.6110 [2 per cell]
Th2 0.3959 0.7763 0.1351 [2 per cell]
Si1 0.0472 0.4912 0.6696 [2 per cell]
Si2 0.0572 0.5184 0.1643 [2 per cell]
Si3 0.1878 0.0283 0.4028 [2 per cell]
Si4 0.1924 0.9443 0.5657 [2 per cell]
Si5 0.1976 0.0100 0.1009 [2 per cell]
Si6 0.2251 0.0178 0.9206 [2 per cell]
Si7 0.3081 0.6404 0.9281 [2 per cell]
Si8 0.3419 0.6651 0.4033 [2 per cell]
Si9 0.4213 0.8402 0.8292 [2 per cell]
Si10 0.4403 0.4935 0.1410 [2 per cell]
Si11 0.4426 0.8953 0.3429 [2 per cell]
Si12 0.4578 0.5028 0.6885 [2 per cell]
O1 0.0051 0.9605 0.8856 [2 per cell]
O2 0.0192 0.4693 0.2451 [2 per cell]
O3 0.0406 0.9948 0.6175 [2 per cell]
O4 0.0989 0.5982 0.6252 [2 per cell]
O5 0.1154 0.6188 0.3766 [2 per cell]
O6 0.1292 0.6551 0.1753 [2 per cell]
O7 0.1330 0.5272 0.8931 [2 per cell]
O8 0.1428 0.8080 0.5558 [2 per cell]
O9 0.2034 0.8942 0.1293 [2 per cell]
O10 0.2091 0.4565 0.1232 [2 per cell]
O11 0.2124 0.0002 0.4884 [2 per cell]
O12 0.2279 0.4399 0.6794 [2 per cell]
O13 0.2352 0.0020 0.0100 [2 per cell]
O14 0.2440 0.9311 0.3404 [2 per cell]
O15 0.2752 0.6911 0.0137 [2 per cell]
O16 0.3076 0.1486 0.9095 [2 per cell]
O17 0.3094 0.1553 0.3950 [2 per cell]
O18 0.3232 0.7312 0.8702 [2 per cell]
O19 0.3483 0.1239 0.1514 [2 per cell]
O20 0.3531 0.9479 0.8717 [2 per cell]
O21 0.3647 0.8110 0.7389 [2 per cell]
O22 0.3828 0.6441 0.4883 [2 per cell]
O23 0.3990 0.9879 0.6142 [2 per cell]
O24 0.4184 0.8009 0.3993 [2 per cell]
O25 0.4500 0.5997 0.3398 [2 per cell]
O26 0.4672 0.3725 0.8580 [2 per cell]
O27 0.4773 0.4503 0.2209 [2 per cell]
O28 0.4830 0.3919 0.3574 [2 per cell]
O29 0.4938 0.5915 0.9270 [2 per cell]
O30 0.4987 0.1481 0.7405 [2 per cell]

***

No. 5
VASP calculation (GGA-PBE) on an optimized crystal structure of Rb2TiSi3O9.

Summary:
final energy: -7.43 eV per atom
calculated formation energy: -4537 kJ/mol of formula units

a b c (Å): 7.0022 7.0022 10.1043
angles (deg): 90.00 90.00 120.00
Space group P6_3/m (No. 176)
Inequivalent atoms, fractional coordinates:
Rb1 0.3333 0.6667 0.0600 [4 per cell]
Ti1 0.0000 0.0000 0.0000 [2 per cell]
Si1 0.1405 0.3789 0.7500 [6 per cell]
O1 0.0399 0.2475 0.6130 [12 per cell]
O2 0.0845 0.5856 0.7500 [6 per cell]